(1)
Material: Nd5Sn3
Method: DFT, r2SCAN
State: optimized geometry

```
16
Lattice="-1.340 8.421 3.683 -7.262 -5.539 -1.691 0.567 -2.671 6.315" Properties=species:S:1:pos:R:3 pbc="T T T"
Sn -3.247 0.468 2.363
Sn -4.259 -4.025 0.554
Sn -4.788 -0.257 5.943
Sn -0.670 4.436 3.811
Sn -2.436 -4.186 4.070
Sn -0.103 1.314 6.187
Nd -1.609 -2.003 1.171
Nd -3.031 2.432 5.049
Nd -6.386 1.520 3.090
Nd -0.592 4.387 7.531
Nd -3.314 3.768 1.892
Nd -5.086 -6.207 3.453
Nd -1.649 -1.308 5.216
Nd -0.181 1.363 2.467
Nd -5.005 -2.221 3.258
Nd -5.288 -0.885 0.100
```

Computed properties:
M_tot = 0.0 μB per cell
raw total energy = -2.0935 Ry per atom

(2)
Material: TiPd
Method: DFT, r2SCAN
State: optimized geometry

```
4
Lattice="-1.305 -1.301 -2.082 4.370 -0.360 -2.167 0.695 -4.002 2.066" Properties=species:S:1:pos:R:3 pbc="T T T"
Ti 3.304 -4.000 -1.319
Ti 0.456 -1.665 -0.865
Pd 0.611 -4.402 -1.192
Pd 3.149 -1.263 -0.992
```

Computed properties:
M_tot = 0.0 μB per cell
raw total energy = -1.3591 Ry per atom

(3)
Material: Rb2SmBr5
Method: DFT, r2SCAN
State: optimized geometry

```
32
Lattice="8.652 0.000 0.000 0.000 9.298 0.000 0.000 0.000 13.754" Properties=species:S:1:pos:R:3 pbc="T T T"
Br 3.022 2.324 2.745
Br 0.751 2.324 13.610
Br 7.685 2.324 4.404
Br 7.205 4.233 7.820
Br 1.447 8.882 5.934
Br 5.292 2.324 11.281
Br 7.900 6.973 0.144
Br 7.205 0.416 7.820
Br 0.966 6.973 9.350
Br 2.879 8.882 12.811
Br 3.574 2.324 6.733
Br 2.879 5.065 12.811
Br 5.629 6.973 11.009
Br 5.077 6.973 7.021
Br 1.447 5.065 5.934
Br 5.773 0.416 0.943
Br 3.360 6.973 2.473
Br 5.773 4.233 0.943
Br 1.303 2.324 9.621
Br 7.348 6.973 4.132
Rb 0.569 9.235 2.350
Rb 8.083 4.586 11.404
Rb 8.083 0.063 11.404
Rb 0.569 4.712 2.350
Rb 3.757 9.235 9.227
Rb 4.895 0.063 4.527
Rb 3.757 4.712 9.227
Rb 4.895 4.586 4.527
Sm 3.680 2.324 13.685
Sm 0.645 2.324 6.808
Sm 4.971 6.973 0.069
Sm 8.006 6.973 6.946
```

Computed properties:
M_tot = 0.0 μB per cell
raw total energy = -1.2951 Ry per atom

(4)
Material: ZnAs2O4
Method: DFT, r2SCAN
State: optimized geometry

```
28
Lattice="-1.652 -3.025 3.661 -1.773 -2.811 -3.123 15.133 -9.067 -0.662" Properties=species:S:1:pos:R:3 pbc="T T T"
O 3.401 -4.901 -0.879
O 7.207 -8.202 -0.889
O 10.924 -9.514 -1.113
O 4.500 -6.701 0.765
O 8.306 -10.002 0.755
O 1.643 -7.807 -0.623
O 2.542 -2.481 0.731
O 10.064 -7.096 0.498
O -0.346 -3.699 2.803
O 7.621 -7.499 1.585
O 0.783 -5.389 0.989
O 4.087 -7.404 -1.710
O 12.054 -11.204 -2.928
O 9.165 -12.421 -0.855
O 0.076 -2.872 -1.522
O 11.632 -12.030 1.397
As -0.751 -4.541 1.255
As 6.895 -8.928 0.747
As 12.388 -10.618 2.236
As -0.681 -4.285 -2.361
As 4.936 -5.875 2.313
As 12.459 -10.362 -1.380
As 4.812 -5.975 -0.872
As 6.771 -9.028 -2.438
Zn 0.854 -7.369 1.124
Zn 9.209 -10.458 -0.954
Zn 2.499 -4.445 0.830
Zn 10.854 -7.534 -1.249
```

Computed properties:
M_tot = 0.0 μB per cell
raw total energy = -0.7574 Ry per atom

(5)
Material: TmB4Os
Method: DFT, r2SCAN
State: optimized geometry

```
24
Lattice="-2.335 2.302 -1.335 -2.165 -4.237 -3.520 -7.517 -2.911 8.127" Properties=species:S:1:pos:R:3 pbc="T T T"
Tm -6.333 -1.287 4.162
Tm -3.099 -0.859 -0.755
Tm -8.918 -3.988 4.027
Tm -5.684 -3.560 -0.890
Os -3.732 -2.758 -2.922
Os -7.023 -3.300 1.901
Os -4.993 -1.547 1.372
Os -8.285 -2.089 6.195
B -6.869 -5.349 2.792
B -8.082 -4.369 6.603
B -4.730 -3.916 1.521
B -1.496 -0.662 1.475
B -5.853 -5.205 1.263
B -6.748 -3.603 5.591
B -2.933 -3.546 -0.984
B -9.081 -6.532 4.621
B -3.828 -1.944 3.345
B -1.599 -2.780 -1.995
B -2.813 -1.800 1.816
B -4.951 -3.233 3.086
B -0.600 -0.617 -0.014
B -8.185 -6.487 3.132
B -6.232 -4.030 3.950
B -3.450 -3.118 0.657
```

Computed properties:
M_tot = 0.0 μB per cell
raw total energy = -1.4880 Ry per atom

(6)
Material: Dy2ZnIn
Method: DFT, r2SCAN
State: optimized geometry

```
4
Lattice="0.000 3.656 3.656 3.656 0.000 3.656 3.656 3.656 0.000" Properties=species:S:1:pos:R:3 pbc="T T T"
Dy 0.000 0.000 0.000
Dy 3.656 3.656 3.656
Zn 5.483 5.483 5.483
In 1.828 1.828 1.828
```

Computed properties:
M_tot = 0.0 μB per cell
raw total energy = -1.7899 Ry per atom

(7)
Material: HfMn
Method: DFT, r2SCAN
State: optimized geometry

```
24
Lattice="-1.560 4.115 -7.053 4.966 -1.027 -6.768 -2.693 -4.255 -6.614" Properties=species:S:1:pos:R:3 pbc="T T T"
Mn 0.152 -0.241 -4.212
Mn -2.791 -0.233 -11.656
Mn -1.347 -2.128 -3.307
Mn 3.504 -0.934 -8.779
Mn -0.780 2.057 -3.526
Mn 1.623 -3.704 -11.457
Mn 2.483 -0.513 -3.384
Mn -0.910 2.537 -8.978
Mn 0.561 -0.926 -16.224
Mn -1.674 -3.113 -8.682
Mn 2.388 1.946 -11.753
Mn 0.000 0.000 0.000
Hf 1.184 -2.539 -13.991
Hf 2.137 -0.617 -6.264
Hf 1.442 0.977 -9.051
Hf 1.005 -2.247 -8.882
Hf 2.315 -0.909 -11.373
Hf -0.471 1.372 -6.444
Hf -1.602 -0.258 -9.062
Hf 1.620 0.685 -14.160
Hf -0.292 1.080 -11.553
Hf -0.907 -1.852 -6.275
Hf -0.729 -2.144 -11.384
Hf -1.424 -0.550 -14.171
```

Computed properties:
M_tot = 0.0 μB per cell
raw total energy = -2.2103 Ry per atom

(8)
Material: PmGeAu2
Method: DFT, r2SCAN
State: optimized geometry

```
4
Lattice="-0.842 -4.707 1.167 -1.530 -1.178 4.527 -4.610 -1.574 0.708" Properties=species:S:1:pos:R:3 pbc="T T T"
Pm -5.236 -5.594 4.802
Ge -1.745 -1.865 1.601
Au 0.000 0.000 0.000
Au -3.491 -3.729 3.201
```

Computed properties:
M_tot = 0.0 μB per cell
raw total energy = -2.6981 Ry per atom

- Among the records above, which one has the lowest raw total energy?
  PmGeAu2

- What is the formula in the second record?
  TiPd